[1]
Li7MnN4 after structural relaxation. Source: Materials Project, functional r2SCAN.

Lattice parameters (Å, degrees): 9.460 9.460 9.460 90.00 90.00 90.00
Space group P-43n (No. 218)
One atom of each set of equivalent atoms:
1 Li 0.000 0.000 0.264 x12
2 Li 0.000 0.000 0.500 x6
3 Li 0.000 0.250 0.500 x6
4 Li 0.018 0.238 0.748 x24
5 Li 0.232 0.232 0.232 x8
6 Mn 0.000 0.000 0.000 x2
7 Mn 0.000 0.500 0.250 x6
8 N 0.107 0.383 0.357 x24
9 N 0.110 0.110 0.110 x8

**Total DFT energy (no corrections)**: -6.385 eV/atom
**Formation enthalpy at 0 K**: -841 kJ/mol of formula units

[2]
PrHo3 after structural relaxation. Source: Materials Project, functional r2SCAN.

Lattice parameters (Å, degrees): 7.2878 7.2878 5.8125 90.00 90.00 120.00
Space group P6_3/mmc (No. 194)
One atom of each set of equivalent atoms:
1 Pr 0.3333 0.6667 0.2500 x2
2 Ho 0.1639 0.3279 0.7500 x6

**Energy above the lowest structure with this stoichiometry**: 0.000 eV per atom
**Total DFT energy (no corrections)**: -31.999 eV/atom
**Formation enthalpy at 0 K**: 5 kJ/mol of formula units

[3]
AgB3O5 after structural relaxation. Source: Materials Project, functional r2SCAN.

Lattice parameters (Å, degrees): 10.335 8.325 3.874 90.00 90.00 90.00
Space group Pna2_1 (No. 33)
One atom of each set of equivalent atoms:
1 Ag 0.078 0.089 0.000 x4
2 B 0.029 0.398 0.575 x4
3 B 0.163 0.746 0.843 x4
4 B 0.187 0.460 0.034 x4
5 O 0.034 0.745 0.937 x4
6 O 0.073 0.508 0.277 x4
7 O 0.134 0.353 0.784 x4
8 O 0.205 0.890 0.714 x4
9 O 0.235 0.611 0.882 x4

**Total DFT energy (no corrections)**: -10.334 eV/atom
**Formation enthalpy at 0 K**: -1905 kJ/mol of formula units

[4]
Cu2Sb after structural relaxation. Source: Materials Project, functional r2SCAN.

Lattice parameters (Å, degrees): 4.020 4.020 5.993 90.00 90.00 90.00
Space group P4/nmm (No. 129, origin choice 2)
One atom of each set of equivalent atoms:
1 Cu 0.250 0.250 0.238 x2
2 Cu 0.250 0.750 0.500 x2
3 Sb 0.250 0.250 0.798 x2

**Total DFT energy (no corrections)**: -15.766 eV/atom
**Formation enthalpy at 0 K**: 10 kJ/mol of formula units

[5]
BaGe2As2 after structural relaxation. Source: Materials Project, functional r2SCAN.

Lattice parameters (Å, degrees): 7.875 7.875 8.727 90.00 90.00 90.00
Space group P4_2mc (No. 105)
One atom of each set of equivalent atoms:
1 Ba 0.000 0.000 0.000 x2
2 Ba 0.000 0.500 0.025 x2
3 Ge 0.163 0.500 0.609 x4
4 Ge 0.335 0.500 0.368 x4
5 As 0.232 0.248 0.756 x8

**Total DFT energy (no corrections)**: -17.327 eV/atom
**Formation enthalpy at 0 K**: -287 kJ/mol of formula units

[6]
PmDyRh2 after structural relaxation. Source: Materials Project, functional r2SCAN.

Lattice parameters (Å, degrees): 6.907 6.907 6.907 90.00 90.00 90.00
Space group Fm-3m (No. 225)
One atom of each set of equivalent atoms:
1 Pm 0.000 0.000 0.000 x4
2 Dy 0.000 0.000 0.500 x4
3 Rh 0.250 0.250 0.250 x8

**Total DFT energy (no corrections)**: -28.275 eV/atom
**Formation enthalpy at 0 K**: -319 kJ/mol of formula units